Record 1
16
Lattice="5.0033 0.0000 0.0000 0.0000 6.1897 0.0000 0.0000 0.0000 10.7320" Properties=species:S:1:pos:R:3 comment="Mg6ZnGa GGA-PBE optimized geometry" final_energy_ev_per_cell=-28.241 formation_enthalpy_0k_ev_per_atom=-0.029 pbc="T T T"
Mg 2.5016 4.6808 9.7748
Mg 2.5016 0.0000 1.7725
Mg 0.0000 4.6102 0.9427
Mg 2.5016 4.6038 4.4088
Mg 0.0000 0.0000 3.5880
Mg 0.0000 4.6744 6.3087
Mg 0.0000 1.5795 0.9427
Ga 2.5016 0.0000 7.1190
Zn 0.0000 3.0949 3.6477
Ga 2.5016 3.0949 1.7530
Mg 2.5016 3.0949 7.1385
Mg 0.0000 3.0949 8.9540
Zn 0.0000 0.0000 9.0137
Mg 2.5016 1.5860 4.4088
Mg 2.5016 1.5089 9.7748
Mg 0.0000 1.5154 6.3087

Record 2
16
Lattice="4.9353 0.0000 0.0000 0.0000 6.3110 0.0000 0.0000 0.0000 10.6388" Properties=species:S:1:pos:R:3 comment="Mg6ZnGa GGA-PBE optimized geometry" final_energy_ev_per_cell=-28.266 formation_enthalpy_0k_ev_per_atom=-0.030 pbc="T T T"
Mg 0.0000 4.7399 9.7214
Mg 0.0000 4.7266 4.4020
Mg 2.4677 1.5780 0.8927
Mg 0.0000 0.0000 1.7964
Zn 2.4677 0.0000 8.8631
Ga 2.4677 0.0000 3.5446
Mg 2.4677 4.7335 6.2121
Mg 0.0000 1.5844 4.4020
Mg 0.0000 3.1555 1.8037
Ga 2.4677 3.1555 8.8640
Mg 0.0000 3.1555 7.1158
Zn 2.4677 3.1555 3.5437
Mg 0.0000 1.5711 9.7214
Mg 2.4677 1.5775 6.2121
Mg 0.0000 0.0000 7.1231
Mg 2.4677 4.7329 0.8927

Record 3
16
Lattice="5.0138 0.0000 0.0000 0.0000 6.0773 0.0000 0.0000 0.0000 11.2575" Properties=species:S:1:pos:R:3 comment="Mg6ZrGa GGA-PBE optimized geometry" de_polymorph_mev_per_atom=0 final_energy_ev_per_cell=-42.714 formation_enthalpy_0k_ev_per_atom=-0.022 pbc="T T T"
Zr 2.5069 3.0387 7.5890
Mg 0.0000 3.0387 3.6455
Mg 2.5069 1.5168 4.7483
Mg 2.5069 4.5555 10.3770
Mg 0.0000 1.5015 0.9065
Mg 0.0000 3.0387 9.3507
Mg 0.0000 4.5401 6.5353
Mg 0.0000 4.5758 0.9065
Zr 2.5069 0.0000 1.9602
Ga 2.5069 0.0000 7.5066
Mg 2.5069 4.5605 4.7483
Mg 2.5069 1.5218 10.3770
Ga 2.5069 3.0387 1.8778
Mg 0.0000 1.5372 6.5353
Mg 0.0000 0.0000 3.7220
Mg 0.0000 0.0000 9.2743

Record 4
16
Lattice="-0.3500 1.9563 4.4641 -6.3846 -0.2539 -0.3894 0.1308 -10.0795 4.4274" Properties=species:S:1:pos:R:3 comment="Mg6ZrGa GGA-PBE optimized geometry" de_polymorph_mev_per_atom=3 final_energy_ev_per_cell=-42.671 formation_enthalpy_0k_ev_per_atom=-0.020 pbc="T T T"
Mg -1.6028 -0.8841 0.2618
Zr 0.1078 -8.3058 3.6483
Mg -4.7605 -1.0097 0.0692
Mg -4.7296 -6.0508 2.2808
Mg 0.0437 -3.3656 1.4783
Ga -3.3439 -0.9538 2.8302
Ga -0.0862 -5.8666 5.2386
Mg -1.7182 -3.2823 3.9781
Mg -4.9074 -3.4091 3.7836
Mg -1.5028 -5.9225 2.4776
Mg -4.8451 -8.4490 5.9971
Mg -3.0832 -8.5323 3.4973
Mg -3.2800 -5.8773 4.9928
Zr -3.1499 -3.3930 1.2399
Mg -0.1531 -0.7106 2.9738
Mg -1.6497 -8.3219 6.1920

Record 5
26
Lattice="-4.4546 4.4546 4.4546 4.4546 -4.4546 4.4546 4.4546 4.4546 -4.4546" Properties=species:S:1:pos:R:3 comment="Mn8Ga5 GGA-PBE optimized geometry" spacegroup="I-43m, No. 217" final_energy_ev_per_cell=-174.560 crystal_system=cubic formation_enthalpy_0k_ev_per_atom=0.089 pbc="T T T"
Mn 5.3839 -3.5252 3.5252
Mn -3.5252 3.5252 5.3839
Mn 4.7728 1.6668 -1.6668
Mn 4.7728 -1.6668 1.6668
Mn -0.9294 0.9294 0.9294
Mn 2.7878 2.7877 -0.3183
Mn 2.7877 -0.3183 2.7878
Mn 1.6668 4.7728 -1.6668
Mn 1.6668 -1.6668 4.7728
Mn 4.1363 1.6668 1.6668
Mn -0.3182 2.7878 2.7877
Mn 1.6668 4.1363 1.6668
Mn 1.6668 1.6668 4.1363
Mn -1.6668 4.7728 1.6668
Mn -1.6668 1.6668 4.7728
Mn 3.5252 3.5252 3.5252
Ga 2.8963 2.8963 -2.8963
Ga 3.1699 0.0000 0.0000
Ga 5.7392 0.0000 0.0000
Ga 2.8963 -2.8963 2.8963
Ga 1.5583 1.5583 1.5583
Ga 0.0000 3.1699 0.0000
Ga 0.0000 0.0000 3.1699
Ga 0.0000 5.7392 0.0000
Ga 0.0000 0.0000 5.7392
Ga -2.8963 2.8963 2.8963

Record 6
4
Lattice="-1.8857 1.8857 3.4405 1.8857 -1.8857 3.4405 1.8857 1.8857 -3.4405" Properties=species:S:1:pos:R:3 comment="Mn3Ga GGA-PBE optimized geometry" spacegroup="I4/mmm, No. 139" final_energy_ev_per_cell=-30.593 crystal_system=tetragonal formation_enthalpy_0k_ev_per_atom=-0.020 pbc="T T T"
Mn 0.0000 0.0000 0.0000
Mn 1.8857 0.0000 1.7203
Mn 0.0000 1.8857 1.7203
Ga 0.0000 0.0000 3.4405

Record 7
70
Lattice="6.3081 0.0000 0.0000 -0.0745 9.9428 0.0000 -0.3425 -0.1836 18.9088" Properties=species:S:1:pos:R:3 comment="Mn6Ga29 GGA-PBE optimized geometry" spacegroup="P-1, No. 2" final_energy_ev_per_cell=-295.650 crystal_system=triclinic formation_enthalpy_0k_ev_per_atom=-0.144 pbc="T T T"
Mn -0.1312 3.2947 6.3330
Mn -0.0171 6.5011 0.0744
Mn -0.1957 3.3848 12.7195
Mn 2.7762 1.3383 15.6627
Mn 2.8975 8.3219 9.3578
Mn 3.0742 1.5505 3.1131
Mn 2.8169 8.2088 15.7957
Mn 2.9935 1.4374 9.5509
Mn 3.1148 8.4210 3.2460
Mn 6.0868 6.3745 6.1893
Mn 5.9082 3.2581 18.8344
Mn 6.0223 6.4646 12.5758
Ga -0.0410 0.6751 6.4205
Ga -0.0738 4.8194 10.6527
Ga -0.0536 4.8614 16.9567
Ga 0.2034 4.8284 4.3181
Ga 0.2558 8.8838 0.4503
Ga 0.6012 1.2622 13.7509
Ga 1.0054 -0.0635 9.8056
Ga 0.8189 9.7135 16.0950
Ga 1.0732 9.8659 3.3429
Ga 1.1136 7.7384 7.6718
Ga 1.4225 2.3649 1.5249
Ga 1.2043 7.3113 14.2624
Ga 1.4063 2.5003 8.0461
Ga 1.3302 7.4108 11.0261
Ga 1.3842 2.3129 11.2118
Ga 1.5068 2.4069 4.7683
Ga 1.3115 2.3826 17.2972
Ga 1.5208 7.3728 4.7694
Ga 1.2990 7.2326 17.4192
Ga 1.6661 7.0746 1.8621
Ga 1.7884 4.9165 6.5763
Ga 1.7196 5.0050 12.7068
Ga 1.9548 4.8827 0.3645
Ga 1.7867 3.4429 14.7698
Ga 2.6182 0.0527 7.4883
Ga 2.5940 5.9449 9.0467
Ga 2.7680 9.8602 1.1767
Ga 2.6400 9.6775 13.7605
Ga 2.9083 4.2006 3.0846
Ga 2.9828 5.5587 15.8242
Ga 3.2510 0.0817 5.1483
Ga 3.1230 -0.1010 17.7321
Ga 3.2970 3.8143 9.8621
Ga 3.2728 9.7066 11.4204
Ga 4.1044 6.3163 4.1390
Ga 3.9363 4.8765 18.5443
Ga 4.1714 4.7543 6.2020
Ga 4.1027 4.8427 12.3325
Ga 4.2250 2.6846 17.0467
Ga 4.5921 2.5266 1.4896
Ga 4.3702 2.3864 14.1394
Ga 4.5796 7.3767 1.6115
Ga 4.3843 7.3523 14.1405
Ga 4.5068 7.4463 7.6969
Ga 4.5609 2.3484 7.8827
Ga 4.4848 7.2590 10.8626
Ga 4.6868 2.4479 4.6464
Ga 4.4686 7.3944 17.3838
Ga 4.7774 2.0209 11.2370
Ga 4.8178 -0.1067 15.5658
Ga 5.0721 0.0457 2.8138
Ga 4.8856 9.8228 9.1032
Ga 5.2899 8.4971 5.1579
Ga 5.6352 0.8754 18.4585
Ga 5.6876 4.9308 14.5907
Ga 5.9447 4.8978 1.9521
Ga 5.9648 4.9399 8.2561
Ga 5.9321 9.0841 12.4882

Record 8
5
Lattice="-2.8085 2.8085 2.8085 2.8085 -2.8085 2.8085 2.8085 2.8085 -2.8085" Properties=species:S:1:pos:R:3 comment="MnGa4 GGA-PBE optimized geometry" spacegroup="Im-3m, No. 229" final_energy_ev_per_cell=-22.156 crystal_system=cubic formation_enthalpy_0k_ev_per_atom=-0.176 pbc="T T T"
Mn 0.0000 0.0000 0.0000
Ga 1.4042 1.4042 -1.4042
Ga 1.4042 -1.4042 1.4042
Ga -1.4042 1.4042 1.4042
Ga 1.4042 1.4042 1.4042

Record 9
8
Lattice="5.1417 0.0000 0.0000 -2.5709 4.4529 0.0000 0.0000 0.0000 4.1864" Properties=species:S:1:pos:R:3 comment="Mn3Ga GGA-PBE optimized geometry" spacegroup="P6_3/mmc, No. 194" final_energy_ev_per_cell=-60.810 crystal_system=hexagonal formation_enthalpy_0k_ev_per_atom=0.027 pbc="T T T"
Mn 0.0000 1.4069 1.0466
Mn -1.3524 3.7494 1.0466
Mn 1.2184 0.7035 3.1398
Mn 1.3524 3.7494 1.0466
Mn 3.9233 0.7035 3.1398
Mn 2.5709 3.0460 3.1398
Ga 0.0000 2.9686 3.1398
Ga 2.5709 1.4843 1.0466

Record 10
4
Lattice="1.3037 0.7527 8.2394 -1.3037 0.7527 8.2394 0.0000 -1.5054 8.2394" Properties=species:S:1:pos:R:3 comment="Mn3Ga GGA-PBE optimized geometry" spacegroup="R-3m, No. 166" final_energy_ev_per_cell=-30.121 crystal_system=trigonal formation_enthalpy_0k_ev_per_atom=0.098 pbc="T T T"
Mn 0.0000 0.0000 0.0000
Mn 0.0000 0.0000 6.2625
Mn 0.0000 0.0000 18.4557
Ga 0.0000 0.0000 12.3591

Record 11
4
Lattice="2.5992 0.0000 0.0000 -1.2996 2.2510 0.0000 0.0000 0.0000 8.1577" Properties=species:S:1:pos:R:3 comment="Mn3Ga GGA-PBE optimized geometry" spacegroup="P-6m2, No. 187" final_energy_ev_per_cell=-30.354 crystal_system=hexagonal formation_enthalpy_0k_ev_per_atom=0.040 pbc="T T T"
Mn 0.0000 0.0000 0.0000
Mn 1.2996 0.7503 1.9515
Mn 1.2996 0.7503 6.2062
Ga 0.0000 0.0000 4.0789

Record 12
4
Lattice="0.0000 2.8800 2.8800 2.8800 0.0000 2.8800 2.8800 2.8800 0.0000" Properties=species:S:1:pos:R:3 comment="Mn3Ga GGA-PBE optimized geometry" spacegroup="Fm-3m, No. 225" final_energy_ev_per_cell=-30.450 crystal_system=cubic formation_enthalpy_0k_ev_per_atom=0.016 pbc="T T T"
Mn 0.0000 0.0000 0.0000
Mn 1.4400 1.4400 1.4400
Mn 4.3200 4.3200 4.3200
Ga 2.8800 2.8800 2.8800

Repeat the twelfth record exactly.
4
Lattice="0.0000 2.8800 2.8800 2.8800 0.0000 2.8800 2.8800 2.8800 0.0000" Properties=species:S:1:pos:R:3 comment="Mn3Ga GGA-PBE optimized geometry" spacegroup="Fm-3m, No. 225" final_energy_ev_per_cell=-30.450 crystal_system=cubic formation_enthalpy_0k_ev_per_atom=0.016 pbc="T T T"
Mn 0.0000 0.0000 0.0000
Mn 1.4400 1.4400 1.4400
Mn 4.3200 4.3200 4.3200
Ga 2.8800 2.8800 2.8800